An optimized crystal structure of NaFe12O19. Source: the Materials Project, functional PBE with a Hubbard U.

abc: 5.9874 5.9874 23.2387
angles: 90.00 90.00 120.00
Closest atoms and distances in Å follow each position.
Fractional coordinates of all 64 atoms:
Na: 0.3333 0.6667 0.7500  12 O 2.88-3.00
Na: 0.6667 0.3333 0.2500  12 O 2.88-3.00
Fe: 0.1685 0.8315 0.8901  6 O 1.94-2.14
Fe: 0.1685 0.8315 0.6099  6 O 1.94-2.14
Fe: 0.3333 0.6667 0.1911  6 O 2.00-2.08
Fe: 0.3333 0.6667 0.0284  4 O 1.94-1.95
Fe: 0.3333 0.6667 0.3089  6 O 2.00-2.08
Fe: 0.0000 0.0000 0.0000  6 O 2.02
Fe: 0.0000 0.0000 0.2500  3 O 1.89
Fe: 0.0000 0.0000 0.5000  6 O 2.02
Fe: 0.1685 0.3370 0.6099  6 O 1.94-2.14
Fe: 0.3333 0.6667 0.4716  4 O 1.94-1.95
Fe: 0.0000 0.0000 0.7500  3 O 1.89
Fe: 0.1685 0.3370 0.8901  6 O 1.94-2.14
Fe: 0.6630 0.8315 0.8901  6 O 1.94-2.14
Fe: 0.6630 0.8315 0.6099  6 O 1.94-2.14
Fe: 0.3370 0.1685 0.1099  6 O 1.94-2.14
Fe: 0.3370 0.1685 0.3901  6 O 1.94-2.14
Fe: 0.8315 0.6630 0.1099  6 O 1.94-2.14
Fe: 0.6667 0.3333 0.6911  6 O 2.00-2.08
Fe: 0.6667 0.3333 0.8089  6 O 2.00-2.08
Fe: 0.8315 0.6630 0.3901  6 O 1.94-2.14
Fe: 0.6667 0.3333 0.9716  4 O 1.94-1.95
Fe: 0.6667 0.3333 0.5284  4 O 1.94-1.95
Fe: 0.8315 0.1685 0.1099  6 O 1.94-2.14
Fe: 0.8315 0.1685 0.3901  6 O 1.94-2.14
O: 0.1548 0.8452 0.0531  4 Fe 1.94-2.14
O: 0.1548 0.8452 0.4469  4 Fe 1.94-2.14
O: 0.9948 0.4974 0.3502  3 Fe 1.94-2.00
O: 0.0052 0.5026 0.8502  3 Fe 1.94-2.00
O: 0.9948 0.4974 0.1498  3 Fe 1.94-2.00
O: 0.0052 0.5026 0.6498  3 Fe 1.94-2.00
O: 0.1826 0.8174 0.2500  3 Fe 1.89-2.08
O: 0.3333 0.6667 0.9446  4 Fe 1.95-2.13
O: 0.3333 0.6667 0.5554  4 Fe 1.95-2.13
O: 0.0000 0.0000 0.1531  4 Fe 2.01-2.25
O: 0.1548 0.3096 0.0531  4 Fe 1.94-2.14
O: 0.0000 0.0000 0.3469  4 Fe 2.01-2.25
O: 0.0000 0.0000 0.6531  4 Fe 2.01-2.25
O: 0.1826 0.3653 0.2500  3 Fe 1.89-2.08
O: 0.0000 0.0000 0.8469  4 Fe 2.01-2.25
O: 0.1548 0.3096 0.4469  4 Fe 1.94-2.14
O: 0.6347 0.8174 0.2500  3 Fe 1.89-2.08
O: 0.3096 0.1548 0.5531  4 Fe 1.94-2.14
O: 0.3096 0.1548 0.9469  4 Fe 1.94-2.14
O: 0.5026 0.4974 0.3502  3 Fe 1.94-2.00
O: 0.5026 0.4974 0.1498  3 Fe 1.94-2.00
O: 0.4974 0.5026 0.8502  3 Fe 1.94-2.00
O: 0.4974 0.5026 0.6498  3 Fe 1.94-2.00
O: 0.6904 0.8452 0.4469  4 Fe 1.94-2.14
O: 0.6904 0.8452 0.0531  4 Fe 1.94-2.14
O: 0.3653 0.1826 0.7500  3 Fe 1.89-2.08
O: 0.5026 0.0052 0.1498  3 Fe 1.94-2.00
O: 0.5026 0.0052 0.3502  3 Fe 1.94-2.00
O: 0.4974 0.9948 0.6498  3 Fe 1.94-2.00
O: 0.8452 0.6904 0.9469  4 Fe 1.94-2.14
O: 0.4974 0.9948 0.8502  3 Fe 1.94-2.00
O: 0.6667 0.3333 0.4446  4 Fe 1.95-2.13
O: 0.6667 0.3333 0.0554  4 Fe 1.95-2.13
O: 0.8452 0.6904 0.5531  4 Fe 1.94-2.14
O: 0.8174 0.6347 0.7500  3 Fe 1.89-2.08
O: 0.8174 0.1826 0.7500  3 Fe 1.89-2.08
O: 0.8452 0.1548 0.5531  4 Fe 1.94-2.14
O: 0.8452 0.1548 0.9469  4 Fe 1.94-2.14

Properties
The value obtained for the formation energy is -1.59 eV/atom. Its calculated total energy is -6.49 eV per atom.


An optimized crystal structure of Na5FeO4. Source: the Materials Project, functional PBE with a Hubbard U.

abc: 6.0252 10.4864 18.1523
angles: 90.00 90.00 90.00
Closest atoms and distances in Å follow each position.
Fractional coordinates of all 80 atoms:
Na: 0.1018 0.4223 0.7523  4 O 2.38-2.44
Na: 0.4281 0.2994 0.6402  4 O 2.37-2.51
Na: 0.5719 0.2006 0.1402  4 O 2.37-2.51
Na: 0.0719 0.7994 0.3598  4 O 2.37-2.51
Na: 0.0719 0.2994 0.1402  4 O 2.37-2.51
Na: 0.5719 0.7006 0.3598  4 O 2.37-2.51
Na: 0.4281 0.7994 0.8598  4 O 2.37-2.51
Na: 0.9281 0.2006 0.6402  4 O 2.37-2.51
Na: 0.8977 0.8269 0.1711  4 O 2.32-2.51
Na: 0.3977 0.1731 0.3289  4 O 2.32-2.51
Na: 0.6023 0.3269 0.8289  4 O 2.32-2.51
Na: 0.1023 0.6731 0.6711  4 O 2.32-2.51
Na: 0.1023 0.1731 0.8289  4 O 2.32-2.51
Na: 0.6023 0.8269 0.6711  4 O 2.32-2.51
Na: 0.3977 0.6731 0.1711  4 O 2.32-2.51
Na: 0.8977 0.3269 0.3289  4 O 2.32-2.51
Na: 0.9107 0.1618 0.0016  4 O 2.38-2.54
Na: 0.4107 0.8382 0.4984  4 O 2.38-2.54
Na: 0.5893 0.6618 0.9984  4 O 2.38-2.54
Na: 0.0893 0.3382 0.5016  4 O 2.38-2.54
Na: 0.0893 0.8382 0.9984  4 O 2.38-2.54
Na: 0.5893 0.1618 0.5016  4 O 2.38-2.54
Na: 0.4107 0.3382 0.0016  4 O 2.38-2.54
Na: 0.9107 0.6618 0.4984  4 O 2.38-2.54
Na: 0.9206 0.9398 0.5656  3 O 2.26-2.34
Na: 0.3982 0.9223 0.2477  4 O 2.38-2.44
Na: 0.6018 0.5777 0.7477  4 O 2.38-2.44
Na: 0.9281 0.7006 0.8598  4 O 2.37-2.51
Na: 0.1018 0.9223 0.7477  4 O 2.38-2.44
Na: 0.6018 0.0777 0.7523  4 O 2.38-2.44
Na: 0.3982 0.4223 0.2523  4 O 2.38-2.44
Na: 0.8982 0.5777 0.2477  4 O 2.38-2.44
Na: 0.9206 0.4398 0.9344  3 O 2.26-2.34
Na: 0.4206 0.5602 0.5656  3 O 2.26-2.34
Na: 0.5794 0.9398 0.0656  3 O 2.26-2.34
Na: 0.0794 0.0602 0.4344  3 O 2.26-2.34
Na: 0.0794 0.5602 0.0656  3 O 2.26-2.34
Na: 0.5794 0.4398 0.4344  3 O 2.26-2.34
Na: 0.4206 0.0602 0.9344  3 O 2.26-2.34
Na: 0.8982 0.0777 0.2523  4 O 2.38-2.44
Fe: 0.8282 0.4596 0.6234  4 O 1.90-1.93
Fe: 0.3282 0.5404 0.8766  4 O 1.90-1.93
Fe: 0.6718 0.9596 0.3766  4 O 1.90-1.93
Fe: 0.1718 0.0404 0.1234  4 O 1.90-1.93
Fe: 0.1718 0.5404 0.3766  4 O 1.90-1.93
Fe: 0.6718 0.4596 0.1234  4 O 1.90-1.93
Fe: 0.3282 0.0404 0.6234  4 O 1.90-1.93
Fe: 0.8282 0.9596 0.8766  4 O 1.90-1.93
O: 0.8577 0.0492 0.1212  1 Fe 1.90
O: 0.3577 0.9508 0.3788  1 Fe 1.90
O: 0.6423 0.5492 0.8788  1 Fe 1.90
O: 0.1423 0.4508 0.6212  1 Fe 1.90
O: 0.1423 0.9508 0.8788  1 Fe 1.90
O: 0.6423 0.0492 0.6212  1 Fe 1.90
O: 0.3577 0.4508 0.1212  1 Fe 1.90
O: 0.8577 0.5492 0.3788  1 Fe 1.90
O: 0.8024 0.3672 0.0446  1 Fe 1.90
O: 0.3024 0.6328 0.4554  1 Fe 1.90
O: 0.6976 0.8672 0.9554  1 Fe 1.90
O: 0.1976 0.1328 0.5446  1 Fe 1.90
O: 0.1976 0.6328 0.9554  1 Fe 1.90
O: 0.6976 0.3672 0.5446  1 Fe 1.90
O: 0.3024 0.1328 0.0446  1 Fe 1.90
O: 0.8024 0.8672 0.4554  1 Fe 1.90
O: 0.7366 0.3732 0.7120  1 Fe 1.93
O: 0.2366 0.6268 0.7880  1 Fe 1.93
O: 0.7634 0.8732 0.2880  1 Fe 1.93
O: 0.2634 0.1268 0.2120  1 Fe 1.93
O: 0.2634 0.6268 0.2880  1 Fe 1.93
O: 0.7634 0.3732 0.2120  1 Fe 1.93
O: 0.2366 0.1268 0.7120  1 Fe 1.93
O: 0.7366 0.8732 0.7880  1 Fe 1.93
O: 0.7378 0.1357 0.8746  1 Fe 1.93
O: 0.2378 0.8643 0.6254  1 Fe 1.93
O: 0.7622 0.6357 0.1254  1 Fe 1.93
O: 0.2622 0.3643 0.3746  1 Fe 1.93
O: 0.2622 0.8643 0.1254  1 Fe 1.93
O: 0.7622 0.1357 0.3746  1 Fe 1.93
O: 0.2378 0.3643 0.8746  1 Fe 1.93
O: 0.7378 0.6357 0.6254  1 Fe 1.93

Properties
The value obtained for the formation energy is -1.63 eV/atom. Its calculated total energy is -4.62 eV per atom.


An optimized crystal structure of Na5Fe11O16. Source: the Materials Project, functional PBE with a Hubbard U.

abc: 6.1625 6.1625 10.8275
angles: 73.55 73.55 59.66
Closest atoms and distances in Å follow each position.
Fractional coordinates of all 32 atoms:
Na: 0.0000 0.5000 0.0000  6 O 2.29-2.33
Na: 0.5000 0.0000 0.0000  6 O 2.29-2.33
Na: 0.0000 0.5000 0.5000  6 O 2.24-2.29
Na: 0.0000 0.0000 0.0000  6 O 2.31-2.37
Na: 0.5000 0.0000 0.5000  6 O 2.24-2.29
Fe: 0.7483 0.7483 0.7491  6 O 2.05-2.21
Fe: 0.5000 0.5000 0.0000  6 O 2.18-2.25
Fe: 0.2487 0.7522 0.2511  6 O 2.06-2.13
Fe: 0.7513 0.2478 0.7489  6 O 2.06-2.13
Fe: 0.2478 0.7513 0.7489  6 O 2.06-2.13
Fe: 0.0000 0.0000 0.5000  6 O 2.14-2.24
Fe: 0.2500 0.2500 0.7478  6 O 2.14-2.23
Fe: 0.7500 0.7500 0.2522  6 O 2.14-2.23
Fe: 0.2517 0.2517 0.2509  6 O 2.05-2.21
Fe: 0.5000 0.5000 0.5000  6 O 2.16-2.17
Fe: 0.7522 0.2487 0.2511  6 O 2.06-2.13
O: 0.8591 0.3894 0.8627  4 Fe 2.07-2.21, 2 Na 2.31
O: 0.1276 0.6354 0.6239  5 Fe 2.13-2.23, 1 Na 2.24
O: 0.6176 0.6176 0.1390  4 Fe 2.11-2.25, 2 Na 2.29
O: 0.8798 0.8798 0.8503  3 Fe 2.05-2.06
O: 0.1161 0.1161 0.6383  4 Fe 2.08-2.24, 2 Na 2.29
O: 0.3877 0.3877 0.3659  4 Fe 2.10-2.20, 2 Na 2.29
O: 0.3824 0.3824 0.8610  4 Fe 2.11-2.25, 2 Na 2.29
O: 0.6123 0.6123 0.6341  4 Fe 2.10-2.20, 2 Na 2.29
O: 0.3646 0.8724 0.3761  5 Fe 2.13-2.23, 1 Na 2.24
O: 0.3894 0.8591 0.8627  4 Fe 2.07-2.21, 2 Na 2.31
O: 0.8724 0.3646 0.3761  5 Fe 2.13-2.23, 1 Na 2.24
O: 0.1409 0.6106 0.1373  4 Fe 2.07-2.21, 2 Na 2.31
O: 0.6106 0.1409 0.1373  4 Fe 2.07-2.21, 2 Na 2.31
O: 0.6354 0.1276 0.6239  5 Fe 2.13-2.23, 1 Na 2.24
O: 0.8839 0.8839 0.3617  4 Fe 2.08-2.24, 2 Na 2.29
O: 0.1202 0.1202 0.1497  3 Fe 2.05-2.06

Properties
The value obtained for the formation energy is -1.63 eV/atom. Its calculated total energy is -6.10 eV per atom.


An optimized crystal structure of Na3FeO4. Source: the Materials Project, functional PBE with a Hubbard U.

abc: 5.5293 14.6225 6.0705
angles: 92.89 90.00 89.99
Closest atoms and distances in Å follow each position.
Fractional coordinates of all 32 atoms:
Na: 0.4817 0.9980 0.1482  4 O 2.31-2.40
Na: 0.4817 0.4979 0.1483  4 O 2.31-2.40
Na: 0.9817 0.2521 0.8518  4 O 2.31-2.40
Na: 0.9817 0.7521 0.8516  4 O 2.31-2.40
Na: 0.9949 0.1203 0.3221  4 O 2.24-2.38
Na: 0.9948 0.6203 0.3220  4 O 2.24-2.37
Na: 0.4949 0.1297 0.6779  4 O 2.24-2.37
Na: 0.4949 0.6296 0.6779  4 O 2.24-2.37
Na: 0.4802 0.3725 0.6766  4 O 2.27-2.34
Na: 0.4803 0.8725 0.6766  4 O 2.27-2.34
Na: 0.9801 0.3775 0.3235  4 O 2.27-2.34
Na: 0.9802 0.8775 0.3233  4 O 2.27-2.34
Fe: 0.9982 0.5004 0.8198  4 O 1.73-1.76
Fe: 0.4982 0.7495 0.1804  4 O 1.73-1.76
Fe: 0.9983 0.0005 0.8195  4 O 1.73-1.76
Fe: 0.4982 0.2496 0.1804  4 O 1.73-1.76
O: 0.9039 0.9937 0.0927  1 Fe 1.75
O: 0.9038 0.4936 0.0930  1 Fe 1.75
O: 0.4039 0.2564 0.9071  1 Fe 1.75
O: 0.4039 0.7564 0.9072  1 Fe 1.75
O: 0.3103 0.0064 0.8025  1 Fe 1.73
O: 0.3101 0.5063 0.8026  1 Fe 1.73
O: 0.8102 0.2437 0.1975  1 Fe 1.73
O: 0.8103 0.7437 0.1975  1 Fe 1.73
O: 0.9172 0.1008 0.6904  1 Fe 1.76
O: 0.9169 0.6007 0.6907  1 Fe 1.76
O: 0.4172 0.1492 0.3095  1 Fe 1.76
O: 0.4170 0.6492 0.3096  1 Fe 1.76
O: 0.3985 0.3546 0.2990  1 Fe 1.75
O: 0.3985 0.8545 0.2990  1 Fe 1.75
O: 0.8985 0.3954 0.7010  1 Fe 1.75
O: 0.8986 0.8954 0.7008  1 Fe 1.75

Properties
The value obtained for the formation energy is -1.53 eV/atom. Its calculated total energy is -4.93 eV per atom.


Question: What is the calculated total energy in the fourth record?
Answer: -4.93 eV per atom


Question: Which of these has the highest calculated total energy?
Answer: Na5FeO4